Record 1
DFT (r2SCAN) results for Fe2Si after structural relaxation.

Geometry as extended XYZ:
```
6
Lattice="3.900 0.000 0.000 -1.950 3.377 0.000 0.000 0.000 4.817" Properties=species:S:1:pos:R:3 pbc="T T T"
Fe 0.000 2.252 3.271
Fe 1.950 1.126 1.546
Fe 0.000 0.000 2.409
Fe 0.000 0.000 0.000
Si 1.950 1.126 3.945
Si 0.000 2.252 0.873
```

## Properties
Total moment, μB/f.u.: 2.0
Calculated formation energy, meV/atom: -195
Crystal system: trigonal


Record 2
DFT (r2SCAN) results for FeSi2 after structural relaxation.

Geometry as extended XYZ:
```
24
Lattice="-6.008 1.114 1.248 0.013 -1.455 -6.064 -1.014 -7.472 1.791" Properties=species:S:1:pos:R:3 pbc="T T T"
Fe -1.982 -6.135 0.524
Fe -2.156 -2.437 -0.919
Fe -4.853 -5.376 -2.107
Fe -5.027 -1.678 -3.550
Fe -4.811 -3.349 0.074
Fe -4.701 0.557 -0.339
Fe -2.198 -4.464 -3.100
Fe -1.293 -0.898 -4.478
Si -4.256 -1.557 -1.289
Si -5.717 -4.629 1.837
Si -5.788 -1.265 0.596
Si -4.278 -5.605 0.116
Si -2.752 -6.256 -1.737
Si -1.292 -3.184 -4.863
Si -1.221 -6.547 -3.623
Si -2.731 -2.208 -3.142
Si -2.461 -0.133 -0.291
Si -1.144 -4.511 -1.045
Si -4.322 -3.960 -3.855
Si -6.091 -7.021 -0.861
Si -4.548 -7.680 -2.735
Si -5.865 -3.301 -1.981
Si -2.687 -3.853 0.829
Si -0.917 -0.791 -2.166
```

## Properties
Total moment, μB/f.u.: 0.0
Calculated formation energy, meV/atom: -282
Crystal system: orthorhombic


Record 3
DFT (r2SCAN) results for FeSi2 after structural relaxation.

Geometry as extended XYZ:
```
3
Lattice="-1.458 1.297 -1.836 -0.508 -2.322 -1.237 -4.172 -0.618 2.876" Properties=species:S:1:pos:R:3 pbc="T T T"
Fe 0.000 0.000 0.000
Si -4.023 -0.963 0.559
Si -2.115 -0.680 -0.756
```

## Properties
Total moment, μB/f.u.: 0.0
Calculated formation energy, meV/atom: -211
Crystal system: tetragonal